Entry 1:
This record from Materials Project describes a geometry-optimized TiPHO5 structure. The functional is PBE.

Cell and atoms, written as POSCAR:
```
TiPHO5
1.0
-4.964 1.215 -1.230
1.485 -6.459 -3.467
-0.737 -0.873 5.078
O Ti H P
10 2 2 2
Direct
0.802 0.617 0.271 O
0.682 0.882 0.124 O
0.198 0.383 0.729 O
0.033 0.721 0.859 O
0.340 0.661 0.287 O
0.769 0.923 0.635 O
0.318 0.118 0.876 O
0.660 0.339 0.713 O
0.231 0.077 0.365 O
0.967 0.279 0.141 O
0.000 0.500 0.000 Ti
0.000 0.000 0.000 Ti
0.028 0.334 0.349 H
0.972 0.666 0.651 H
0.646 0.772 0.326 P
0.354 0.228 0.674 P
```

Summary:
- energy above the lowest structure with this stoichiometry (eV per atom) = 0.024



Entry 2:
This record from Materials Project describes a geometry-optimized TlPH2O4 structure. The functional is PBE.

Cell and atoms, written as POSCAR:
```
TlPH2O4
1.0
4.510 0.000 0.000
0.000 6.590 0.000
0.000 0.000 14.436
O H Tl P
16 8 4 4
Direct
0.370 0.577 0.064 O
0.630 0.423 0.936 O
0.757 0.672 0.188 O
0.243 0.328 0.812 O
0.757 0.172 0.812 O
0.870 0.423 0.436 O
0.870 0.923 0.564 O
0.630 0.923 0.064 O
0.257 0.328 0.312 O
0.257 0.828 0.688 O
0.243 0.828 0.188 O
0.130 0.077 0.436 O
0.743 0.672 0.688 O
0.743 0.172 0.312 O
0.370 0.077 0.936 O
0.130 0.577 0.564 O
0.500 0.000 0.000 H
0.000 0.000 0.500 H
0.500 0.500 0.000 H
0.500 0.750 0.685 H
0.000 0.500 0.500 H
0.500 0.250 0.315 H
0.000 0.250 0.815 H
0.000 0.750 0.185 H
0.500 0.750 0.371 Tl
0.000 0.750 0.871 Tl
0.500 0.250 0.629 Tl
0.000 0.250 0.129 Tl
0.500 0.750 0.125 P
0.000 0.250 0.375 P
0.000 0.750 0.625 P
0.500 0.250 0.875 P
```

Summary:
- energy above the lowest structure with this stoichiometry (eV per atom) = 0.009



Entry 3:
This record from Materials Project describes a geometry-optimized TlPH2O4 structure. The functional is PBE.

Cell and atoms, written as POSCAR:
```
TlPH2O4
1.0
-4.084 1.786 -1.249
-2.715 -5.967 0.345
-3.482 1.890 14.094
H P O Tl
8 4 16 4
Direct
0.500 0.000 0.000 H
0.500 0.500 0.000 H
0.000 0.000 0.500 H
0.475 0.760 0.323 H
0.000 0.500 0.500 H
0.025 0.760 0.823 H
0.975 0.240 0.177 H
0.525 0.240 0.677 H
0.983 0.240 0.619 P
0.517 0.240 0.119 P
0.483 0.760 0.881 P
0.017 0.760 0.381 P
0.278 0.332 0.177 O
0.275 0.829 0.315 O
0.725 0.171 0.685 O
0.151 0.611 0.454 O
0.722 0.668 0.823 O
0.406 0.043 0.074 O
0.775 0.171 0.185 O
0.849 0.389 0.546 O
0.222 0.332 0.677 O
0.778 0.668 0.323 O
0.225 0.829 0.815 O
0.906 0.957 0.426 O
0.651 0.389 0.046 O
0.349 0.611 0.954 O
0.094 0.043 0.574 O
0.594 0.957 0.926 O
0.998 0.735 0.132 Tl
0.498 0.265 0.368 Tl
0.002 0.265 0.868 Tl
0.502 0.735 0.632 Tl
```

Summary:
- energy above the lowest structure with this stoichiometry (eV per atom) = 0.004



Entry 4:
This record from Materials Project describes a geometry-optimized TlP2HO7 structure. The functional is PBE.

Cell and atoms, written as POSCAR:
```
TlP2HO7
1.0
-1.923 -1.804 8.783
0.134 -7.195 -1.448
8.684 -4.898 0.896
O H P Tl
28 4 8 4
Direct
0.507 0.014 0.632 O
0.043 0.703 0.797 O
0.319 0.376 0.397 O
0.819 0.624 0.103 O
0.832 0.959 0.695 O
0.168 0.041 0.305 O
0.221 0.688 0.162 O
0.450 0.519 0.136 O
0.332 0.041 0.805 O
0.957 0.297 0.203 O
0.993 0.014 0.132 O
0.007 0.986 0.868 O
0.050 0.519 0.636 O
0.681 0.624 0.603 O
0.592 0.920 0.902 O
0.779 0.312 0.838 O
0.543 0.297 0.703 O
0.408 0.080 0.098 O
0.908 0.920 0.402 O
0.668 0.959 0.195 O
0.721 0.312 0.338 O
0.457 0.703 0.297 O
0.279 0.688 0.662 O
0.550 0.481 0.864 O
0.950 0.481 0.364 O
0.181 0.376 0.897 O
0.092 0.080 0.598 O
0.493 0.986 0.368 O
0.456 0.551 0.823 H
0.544 0.449 0.177 H
0.044 0.551 0.323 H
0.956 0.449 0.677 H
0.994 0.943 0.730 P
0.006 0.057 0.270 P
0.506 0.943 0.230 P
0.644 0.434 0.752 P
0.494 0.057 0.770 P
0.356 0.566 0.248 P
0.144 0.566 0.748 P
0.856 0.434 0.252 P
0.705 0.966 0.502 Tl
0.795 0.966 0.002 Tl
0.295 0.034 0.498 Tl
0.205 0.034 0.998 Tl
```



Entry 5:
This record from Materials Project describes a geometry-optimized TlPH2O4 structure. The functional is PBE.

Cell and atoms, written as POSCAR:
```
TlPH2O4
1.0
-6.628 0.000 0.000
-0.082 -9.163 0.000
0.573 4.474 14.474
P O Tl H
8 32 8 16
Direct
0.758 0.823 0.624 P
0.229 0.707 0.879 P
0.232 0.676 0.378 P
0.242 0.177 0.376 P
0.236 0.201 0.871 P
0.768 0.324 0.622 P
0.771 0.293 0.121 P
0.764 0.799 0.129 P
0.160 0.023 0.315 O
0.652 0.728 0.677 O
0.181 0.516 0.303 O
0.614 0.197 0.052 O
0.667 0.951 0.180 O
0.962 0.248 0.580 O
0.386 0.803 0.948 O
0.173 0.299 0.809 O
0.163 0.793 0.806 O
0.935 0.718 0.571 O
0.827 0.701 0.191 O
0.348 0.272 0.323 O
0.383 0.303 0.950 O
0.044 0.162 0.920 O
0.613 0.861 0.548 O
0.840 0.977 0.685 O
0.038 0.752 0.420 O
0.390 0.650 0.448 O
0.837 0.207 0.194 O
0.387 0.139 0.452 O
0.326 0.772 0.318 O
0.961 0.332 0.078 O
0.065 0.282 0.429 O
0.819 0.484 0.697 O
0.330 0.554 0.818 O
0.670 0.446 0.182 O
0.333 0.049 0.820 O
0.956 0.838 0.080 O
0.674 0.228 0.682 O
0.617 0.697 0.050 O
0.039 0.668 0.922 O
0.610 0.350 0.552 O
0.269 0.070 0.137 Tl
0.282 0.558 0.625 Tl
0.231 0.059 0.634 Tl
0.746 0.442 0.877 Tl
0.254 0.558 0.123 Tl
0.718 0.442 0.375 Tl
0.769 0.941 0.366 Tl
0.731 0.930 0.863 Tl
0.978 0.737 0.509 H
0.246 0.421 0.315 H
0.479 0.226 0.493 H
0.743 0.124 0.680 H
0.754 0.579 0.685 H
0.022 0.263 0.491 H
0.011 0.236 0.985 H
0.741 0.549 0.184 H
0.768 0.102 0.186 H
0.989 0.764 0.015 H
0.524 0.749 0.010 H
0.521 0.774 0.507 H
0.232 0.898 0.814 H
0.259 0.451 0.816 H
0.257 0.876 0.320 H
0.476 0.251 0.990 H
```

Summary:
- energy above the lowest structure with this stoichiometry (eV per atom) = 0.002



Entry 6:
This record from Materials Project describes a geometry-optimized TlPH2O4 structure. The functional is PBE.

Cell and atoms, written as POSCAR:
```
TlPH2O4
1.0
4.557 0.000 0.000
0.000 6.630 0.000
0.000 0.414 14.514
H O P Tl
8 16 4 4
Direct
0.238 0.245 0.183 H
0.240 0.988 0.489 H
0.769 0.481 0.010 H
0.231 0.481 0.510 H
0.762 0.245 0.683 H
0.737 0.761 0.316 H
0.760 0.988 0.989 H
0.263 0.761 0.816 H
0.974 0.668 0.817 O
0.342 0.048 0.576 O
0.910 0.392 0.054 O
0.524 0.334 0.181 O
0.658 0.048 0.076 O
0.599 0.601 0.948 O
0.026 0.668 0.317 O
0.401 0.601 0.448 O
0.850 0.946 0.924 O
0.528 0.828 0.310 O
0.090 0.392 0.554 O
0.472 0.828 0.810 O
0.970 0.173 0.691 O
0.150 0.946 0.424 O
0.476 0.334 0.681 O
0.030 0.173 0.191 O
0.273 0.751 0.377 P
0.232 0.235 0.625 P
0.727 0.751 0.877 P
0.768 0.235 0.125 P
0.252 0.745 0.130 Tl
0.748 0.745 0.630 Tl
0.260 0.265 0.869 Tl
0.740 0.265 0.369 Tl
```

Summary:
- energy above the lowest structure with this stoichiometry (eV per atom) = 0.002



Entry 7:
This record from Materials Project describes a geometry-optimized TlPHO3 structure. The functional is PBE.

Cell and atoms, written as POSCAR:
```
TlPHO3
1.0
-5.737 0.000 0.493
-0.017 0.000 -8.017
0.000 -8.447 0.000
P O H Tl
4 12 4 4
Direct
0.521 0.875 0.451 P
0.521 0.375 0.049 P
0.479 0.625 0.951 P
0.479 0.125 0.549 P
0.353 0.748 0.555 O
0.224 0.162 0.533 O
0.582 0.128 0.717 O
0.353 0.248 0.945 O
0.776 0.838 0.467 O
0.418 0.372 0.217 O
0.224 0.662 0.967 O
0.582 0.628 0.783 O
0.647 0.252 0.445 O
0.418 0.872 0.283 O
0.647 0.752 0.055 O
0.776 0.338 0.033 O
0.440 0.693 0.646 H
0.560 0.307 0.354 H
0.560 0.807 0.146 H
0.440 0.193 0.854 H
0.042 0.593 0.256 Tl
0.958 0.407 0.744 Tl
0.042 0.093 0.244 Tl
0.958 0.907 0.756 Tl
```



Entry 8:
This record from Materials Project describes a geometry-optimized TlPH2O4 structure. The functional is PBE.

Cell and atoms, written as POSCAR:
```
TlPH2O4
1.0
-4.726 3.257 3.318
0.809 -5.896 6.940
10.452 5.636 9.355
H P O Tl
16 8 32 8
Direct
0.473 0.237 0.993 H
0.479 0.276 0.492 H
0.973 0.763 0.507 H
0.521 0.724 0.508 H
0.027 0.237 0.493 H
0.763 0.376 0.185 H
0.751 0.924 0.187 H
0.021 0.276 0.992 H
0.249 0.076 0.813 H
0.979 0.724 0.008 H
0.749 0.924 0.687 H
0.251 0.076 0.313 H
0.737 0.376 0.685 H
0.527 0.763 0.007 H
0.263 0.624 0.315 H
0.237 0.624 0.815 H
0.753 0.681 0.125 P
0.747 0.681 0.625 P
0.245 0.821 0.375 P
0.755 0.179 0.625 P
0.745 0.179 0.125 P
0.255 0.821 0.875 P
0.247 0.319 0.875 P
0.253 0.319 0.375 P
0.588 0.791 0.064 O
0.670 0.272 0.691 O
0.590 0.151 0.562 O
0.681 0.019 0.196 O
0.319 0.981 0.804 O
0.162 0.470 0.316 O
0.170 0.728 0.809 O
0.838 0.530 0.684 O
0.595 0.636 0.556 O
0.644 0.774 0.682 O
0.443 0.739 0.924 O
0.819 0.019 0.696 O
0.910 0.151 0.062 O
0.330 0.728 0.309 O
0.557 0.261 0.076 O
0.095 0.364 0.944 O
0.181 0.981 0.304 O
0.090 0.849 0.938 O
0.410 0.849 0.438 O
0.088 0.209 0.436 O
0.144 0.226 0.818 O
0.830 0.272 0.191 O
0.905 0.636 0.056 O
0.412 0.209 0.936 O
0.856 0.774 0.182 O
0.338 0.470 0.816 O
0.662 0.530 0.184 O
0.356 0.226 0.318 O
0.057 0.739 0.424 O
0.405 0.364 0.444 O
0.943 0.261 0.576 O
0.912 0.791 0.564 O
0.777 0.563 0.364 Tl
0.772 0.060 0.881 Tl
0.223 0.437 0.636 Tl
0.728 0.060 0.381 Tl
0.228 0.940 0.119 Tl
0.277 0.437 0.136 Tl
0.272 0.940 0.619 Tl
0.723 0.563 0.864 Tl
```

Summary:
- energy above the lowest structure with this stoichiometry (eV per atom) = 0.000



no.,calculated density (kg/m3),ΔH_f (0 K) (eV per atom)
1,2961,-2.739
2,4666,-1.917
3,4501,-1.922
4,4257,-2.127
5,4555,-1.925
6,4564,-1.924
7,4860,-1.885
8,4567,-1.926